No. 1
VASP calculation (PBE) on a relaxed structure of Eu2Zr2O7.

Summary:
- theoretical density (Mg/m³) = 6.260
- energy (eV/atom) = -9.666
- formation energy from the elements (eV/atom) = -3.54
- calculated volume (A^3/atom) = 14.43

Lattice parameters (Å, degrees): 7.657 7.657 7.657 60.00 60.00 60.00
Atoms (fractional coordinates):
Eu: 0.000 0.000 0.000
Eu: 0.000 0.000 0.500
Eu: 0.000 0.500 0.000
Eu: 0.500 0.000 0.000
Zr: 0.000 0.500 0.500
Zr: 0.500 0.000 0.500
Zr: 0.500 0.500 0.000
Zr: 0.500 0.500 0.500
O: 0.125 0.125 0.125
O: 0.165 0.165 0.585
O: 0.165 0.585 0.165
O: 0.165 0.585 0.585
O: 0.415 0.415 0.835
O: 0.415 0.835 0.415
O: 0.415 0.835 0.835
O: 0.585 0.165 0.165
O: 0.585 0.165 0.585
O: 0.585 0.585 0.165
O: 0.835 0.415 0.415
O: 0.835 0.415 0.835
O: 0.835 0.835 0.415
O: 0.875 0.875 0.875

No. 2
VASP calculation (PBE) on a relaxed structure of Bi2Pd.

Summary:
- theoretical density (Mg/m³) = 11.097
- energy (eV/atom) = -4.560
- formation energy from the elements (eV/atom) = -0.24
- calculated volume (A^3/atom) = 26.16

Lattice parameters (Å, degrees): 6.823 6.823 5.728 101.97 101.97 37.09
Atoms (fractional coordinates):
Bi: 0.075 0.075 0.295
Bi: 0.344 0.344 0.184
Bi: 0.656 0.656 0.816
Bi: 0.925 0.925 0.705
Pd: 0.275 0.275 0.670
Pd: 0.725 0.725 0.330

No. 3
VASP calculation (PBE) on a relaxed structure of Sr2HfTiO6.

Summary:
- theoretical density (Mg/m³) = 6.284
- energy (eV/atom) = -8.344
- spin magnetization (μB/f.u.) = 0.00
- formation energy from the elements (eV/atom) = -3.66
- calculated volume (A^3/atom) = 13.15

Lattice parameters (Å, degrees): 5.707 5.707 5.710 120.02 120.02 60.04
Atoms (fractional coordinates):
Sr: 0.250 0.250 0.249
Sr: 0.750 0.750 0.751
Hf: 0.500 0.500 0.000
Ti: 0.000 0.000 0.500
O: 0.233 0.745 0.245
O: 0.244 0.244 0.720
O: 0.255 0.767 0.755
O: 0.745 0.233 0.245
O: 0.756 0.756 0.280
O: 0.767 0.255 0.755

No. 4
VASP calculation (PBE) on a relaxed structure of Gd2CdS4.

Summary:
- theoretical density (Mg/m³) = 6.076
- energy (eV/atom) = -8.105
- spin magnetization (μB/f.u.) = 13.68
- formation energy from the elements (eV/atom) = -1.88
- calculated volume (A^3/atom) = 21.68

Lattice parameters (Å, degrees): 7.334 7.334 7.334 110.40 110.40 107.63
Atoms (fractional coordinates):
Gd: 0.014 0.625 0.889
Gd: 0.375 0.264 0.389
Gd: 0.736 0.125 0.111
Gd: 0.875 0.986 0.611
Cd: 0.250 0.750 0.500
Cd: 0.500 0.500 0.000
S: 0.010 0.885 0.261
S: 0.115 0.377 0.126
S: 0.127 0.365 0.626
S: 0.251 0.990 0.874
S: 0.499 0.873 0.239
S: 0.623 0.749 0.739
S: 0.635 0.260 0.761
S: 0.740 0.501 0.374